No. 1
EuCrTeO6 | PBE+U | optimized geometry

Unit cell a=5.4811 b=5.4811 c=8.5998 alpha=90.00 beta=90.00 gamma=120.00
Space group P-31c (No. 163)
Inequivalent atoms, fractional coordinates:
Eu 0.3333 0.6667 0.2500
Cr 0.0000 0.0000 0.0000
Te 0.3333 0.6667 0.7500
O 0.0534 0.3542 0.8786

Calculated formation energy (kcal/mol of atoms): -46.940
Size of the total moment (μB per formula unit): 8.996
Offset from the most stable computed form (meV per atom): 288

No. 2
EuCrTeO6 | PBE+U | optimized geometry

Unit cell a=5.200 b=8.999 c=10.279 alpha=90.00 beta=90.15 gamma=90.00
Space group C2/c (No. 15)
Inequivalent atoms, fractional coordinates:
Eu 0.000 0.000 0.000
Cr 0.000 0.333 0.250
Te 0.000 0.334 0.750
O 0.130 0.497 0.644
O 0.180 0.187 0.644
O 0.189 0.183 0.144

Calculated formation energy (kcal/mol of atoms): -53.577
Offset from the most stable computed form (meV per atom): 0

No. 3
Eu2ZrCrO6 | PBE+U | optimized geometry

Unit cell a=8.062 b=8.062 c=8.062 alpha=90.00 beta=90.00 gamma=90.00
Space group Fm-3m (No. 225)
Inequivalent atoms, fractional coordinates:
Eu 0.250 0.250 0.250
Zr 0.000 0.000 0.000
Cr 0.000 0.000 0.500
O 0.000 0.000 0.257

Calculated formation energy (kcal/mol of atoms): -73.155
Size of the total moment (μB per formula unit): 16.000

No. 4
CrF2 | PBE+U | optimized geometry

Unit cell a=3.571 b=4.801 c=5.687 alpha=90.00 beta=121.92 gamma=90.00
Space group P2_1/c (No. 14)
Inequivalent atoms, fractional coordinates:
Cr 0.000 0.000 0.000
F 0.251 0.201 0.797

Calculated formation energy (kcal/mol of atoms): -65.086

No. 5
CrF6 | PBE+U | optimized geometry

Unit cell a=5.3669 b=5.3669 c=13.8752 alpha=90.00 beta=90.00 gamma=120.00
Space group R-3 (No. 148, hexagonal axes)
Inequivalent atoms, fractional coordinates:
Cr 0.0000 0.0000 0.0000
F 0.0447 0.6169 0.7398

Calculated formation energy (kcal/mol of atoms): -47.576

No. 6
CrFeH18N6F6 | PBE+U | optimized geometry

Unit cell a=10.182 b=10.182 c=10.182 alpha=90.00 beta=90.00 gamma=90.00
Space group Pa-3 (No. 205)
Inequivalent atoms, fractional coordinates:
Cr 0.000 0.000 0.000
Fe 0.000 0.000 0.500
H 0.045 0.608 0.264
H 0.046 0.727 0.372
H 0.128 0.145 0.824
N 0.075 0.631 0.357
F 0.063 0.117 0.641

Calculated formation energy (kcal/mol of atoms): -23.503
Size of the total moment (μB per formula unit): 8.193

No. 7
Na2CrFeF7 | PBE+U | optimized geometry

Unit cell a=12.883 b=7.474 c=25.025 alpha=90.00 beta=99.50 gamma=90.00
Space group C2/c (No. 15)
Inequivalent atoms, fractional coordinates:
Na 0.000 0.000 0.000
Na 0.000 0.212 0.250
Na 0.000 0.500 0.000
Na 0.126 0.010 0.878
Na 0.248 0.455 0.248
Na 0.250 0.250 0.000
Cr 0.000 0.249 0.750
Cr 0.126 0.237 0.126
Cr 0.250 0.250 0.500
Fe 0.122 0.491 0.372
Fe 0.127 0.262 0.626
F 0.013 0.282 0.358
F 0.029 0.332 0.902
F 0.071 0.004 0.608
F 0.080 0.443 0.790
F 0.081 0.059 0.791
F 0.088 0.277 0.047
F 0.113 0.251 0.707
F 0.142 0.278 0.545
F 0.164 0.419 0.454
F 0.166 0.192 0.204
F 0.169 0.040 0.468
F 0.180 0.479 0.143
F 0.218 0.312 0.344
F 0.234 0.304 0.890

Calculated formation energy (kcal/mol of atoms): -67.454
Size of the total moment (μB per formula unit): 7.000

No. 8
K2CrH2F8 | PBE+U | optimized geometry

Unit cell a=5.349 b=8.101 c=8.427 alpha=90.00 beta=92.67 gamma=90.00
Space group P2_1/c (No. 14)
Inequivalent atoms, fractional coordinates:
K 0.066 0.187 0.281
Cr 0.500 0.000 0.000
H 0.378 0.659 0.950
F 0.206 0.570 0.581
F 0.219 0.598 0.940
F 0.349 0.005 0.799
F 0.406 0.228 0.033

Calculated formation energy (kcal/mol of atoms): -60.514
Size of the total moment (μB per formula unit): 2.000

No. 9
NaCrH8N2F6 | PBE+U | optimized geometry

Unit cell a=8.636 b=8.636 c=8.636 alpha=90.00 beta=90.00 gamma=90.00
Space group Fm-3m (No. 225)
Inequivalent atoms, fractional coordinates:
Na 0.000 0.000 0.000
Cr 0.000 0.000 0.500
H 0.181 0.181 0.319
N 0.250 0.250 0.250
F 0.000 0.000 0.274

Calculated formation energy (kcal/mol of atoms): -38.767
Size of the total moment (μB per formula unit): 3.000

Number 1: MP2020-corrected energy -7.90 eV per atom. Number 2: MP2020-corrected energy -8.18 eV per atom. Number 3: MP2020-corrected energy -10.01 eV per atom. Number 4: MP2020-corrected energy -7.32 eV per atom. Number 5: MP2020-corrected energy -5.08 eV per atom. Number 6: MP2020-corrected energy -5.42 eV per atom. Number 7: MP2020-corrected energy -6.03 eV per atom. Number 8: MP2020-corrected energy -5.24 eV per atom. Number 9: MP2020-corrected energy -5.36 eV per atom.